{
  "formula": "PrTlSe2",
  "functional": "meta-GGA r2SCAN",
  "state": "relaxed",
  "e_tot_ev_per_atom": -29.39,
  "total_magnetization_mub_per_cell": 0.00,
  "lattice_angstrom": [[4.349, 0.000, 0.000], [-2.175, 3.767, 0.000], [0.000, 0.000, 23.099]],
  "species": ["Pr", "Pr", "Pr", "Tl", "Tl", "Tl", "Se", "Se", "Se", "Se", "Se", "Se"],
  "frac_coords": [[0.000, 0.000, 0.000], [0.333, 0.667, 0.667], [0.667, 0.333, 0.333], [0.000, 0.000, 0.500], [0.333, 0.667, 0.167], [0.667, 0.333, 0.833], [0.000, 0.000, 0.262], [0.000, 0.000, 0.738], [0.333, 0.667, 0.404], [0.333, 0.667, 0.929], [0.667, 0.333, 0.071], [0.667, 0.333, 0.596]]
}



{
  "formula": "Yb2CuIr",
  "functional": "meta-GGA r2SCAN",
  "state": "relaxed",
  "e_tot_ev_per_atom": -34.83,
  "total_magnetization_mub_per_cell": 0.00,
  "lattice_angstrom": [[6.715, 0.000, 0.000], [0.000, 6.715, 0.000], [0.000, 0.000, 6.715]],
  "species": ["Yb", "Yb", "Yb", "Yb", "Yb", "Yb", "Yb", "Yb", "Cu", "Cu", "Cu", "Cu", "Ir", "Ir", "Ir", "Ir"],
  "frac_coords": [[0.250, 0.250, 0.250], [0.250, 0.250, 0.750], [0.250, 0.750, 0.250], [0.250, 0.750, 0.750], [0.750, 0.250, 0.250], [0.750, 0.250, 0.750], [0.750, 0.750, 0.250], [0.750, 0.750, 0.750], [0.000, 0.000, 0.000], [0.000, 0.500, 0.500], [0.500, 0.000, 0.500], [0.500, 0.500, 0.000], [0.000, 0.000, 0.500], [0.000, 0.500, 0.000], [0.500, 0.000, 0.000], [0.500, 0.500, 0.500]]
}



{
  "formula": "ThCoSi",
  "functional": "meta-GGA r2SCAN",
  "state": "relaxed",
  "e_tot_ev_per_atom": -32.45,
  "total_magnetization_mub_per_cell": 0.01,
  "lattice_angstrom": [[4.096, 0.000, 0.000], [0.000, 4.096, 0.000], [0.000, 0.000, 13.681]],
  "species": ["Th", "Th", "Th", "Th", "Co", "Co", "Co", "Co", "Si", "Si", "Si", "Si"],
  "frac_coords": [[0.000, 0.000, 0.000], [0.000, 0.500, 0.250], [0.500, 0.000, 0.750], [0.500, 0.500, 0.500], [0.000, 0.000, 0.407], [0.000, 0.500, 0.657], [0.500, 0.000, 0.157], [0.500, 0.500, 0.907], [0.000, 0.000, 0.578], [0.000, 0.500, 0.828], [0.500, 0.000, 0.328], [0.500, 0.500, 0.078]]
}



{
  "formula": "LaGa4Os",
  "functional": "meta-GGA r2SCAN",
  "state": "relaxed",
  "e_tot_ev_per_atom": -21.95,
  "total_magnetization_mub_per_cell": 0.00,
  "lattice_angstrom": [[9.800, 0.000, 0.000], [0.000, 8.823, 0.000], [0.000, 0.000, 7.697]],
  "species": ["La", "La", "La", "La", "La", "La", "Ga", "Ga", "Ga", "Ga", "Ga", "Ga", "Ga", "Ga", "Ga", "Ga", "Ga", "Ga", "Ga", "Ga", "Ga", "Ga", "Ga", "Ga", "Ga", "Ga", "Ga", "Ga", "Ga", "Ga", "Os", "Os", "Os", "Os", "Os", "Os"],
  "frac_coords": [[0.250, 0.000, 0.178], [0.250, 0.250, 0.661], [0.250, 0.750, 0.661], [0.750, 0.000, 0.822], [0.750, 0.250, 0.339], [0.750, 0.750, 0.339], [0.000, 0.000, 0.500], [0.060, 0.500, 0.840], [0.074, 0.268, 0.318], [0.074, 0.732, 0.318], [0.080, 0.000, 0.845], [0.250, 0.345, 0.049], [0.250, 0.500, 0.368], [0.250, 0.655, 0.049], [0.420, 0.000, 0.845], [0.426, 0.268, 0.318], [0.426, 0.732, 0.318], [0.440, 0.500, 0.840], [0.500, 0.000, 0.500], [0.560, 0.500, 0.160], [0.574, 0.268, 0.682], [0.574, 0.732, 0.682], [0.580, 0.000, 0.155], [0.750, 0.345, 0.951], [0.750, 0.500, 0.632], [0.750, 0.655, 0.951], [0.920, 0.000, 0.155], [0.926, 0.268, 0.682], [0.926, 0.732, 0.682], [0.940, 0.500, 0.160], [0.000, 0.244, 0.000], [0.000, 0.500, 0.500], [0.000, 0.756, 0.000], [0.500, 0.244, 0.000], [0.500, 0.500, 0.500], [0.500, 0.756, 0.000]]
}



{
  "formula": "Eu4Bi3",
  "functional": "meta-GGA r2SCAN",
  "state": "relaxed",
  "e_tot_ev_per_atom": -48.19,
  "total_magnetization_mub_per_cell": 54.22,
  "lattice_angstrom": [[-4.959, 4.959, 4.959], [4.959, -4.959, 4.959], [4.959, 4.959, -4.959]],
  "species": ["Eu", "Eu", "Eu", "Eu", "Eu", "Eu", "Eu", "Eu", "Bi", "Bi", "Bi", "Bi", "Bi", "Bi"],
  "frac_coords": [[0.000, 0.144, 0.500], [0.000, 0.644, 0.500], [0.144, 0.500, 0.000], [0.356, 0.356, 0.356], [0.500, 0.000, 0.144], [0.500, 0.000, 0.644], [0.644, 0.500, 0.000], [0.856, 0.856, 0.856], [0.125, 0.875, 0.250], [0.250, 0.125, 0.875], [0.375, 0.625, 0.750], [0.625, 0.750, 0.375], [0.750, 0.375, 0.625], [0.875, 0.250, 0.125]]
}



{
  "formula": "BaHBrO",
  "functional": "meta-GGA r2SCAN",
  "state": "relaxed",
  "e_tot_ev_per_atom": -14.47,
  "total_magnetization_mub_per_cell": 0.00,
  "lattice_angstrom": [[7.623, 0.000, 0.000], [0.000, 4.410, 0.000], [0.000, 0.000, 10.509]],
  "species": ["Ba", "Ba", "Ba", "Ba", "H", "H", "H", "H", "Br", "Br", "Br", "Br", "O", "O", "O", "O"],
  "frac_coords": [[0.197, 0.250, 0.092], [0.303, 0.750, 0.592], [0.697, 0.250, 0.408], [0.803, 0.750, 0.908], [0.238, 0.750, 0.902], [0.262, 0.250, 0.402], [0.738, 0.750, 0.598], [0.762, 0.250, 0.098], [0.036, 0.750, 0.323], [0.464, 0.250, 0.823], [0.536, 0.750, 0.177], [0.964, 0.250, 0.677], [0.140, 0.750, 0.960], [0.360, 0.250, 0.460], [0.640, 0.750, 0.540], [0.860, 0.250, 0.040]]
}



{
  "formula": "Na2UO4",
  "functional": "meta-GGA r2SCAN",
  "state": "relaxed",
  "e_tot_ev_per_atom": -18.72,
  "total_magnetization_mub_per_cell": 0.00,
  "lattice_angstrom": [[5.660, 0.000, 0.000], [0.000, 9.687, 0.000], [0.000, 0.000, 3.499]],
  "species": ["Na", "Na", "Na", "Na", "U", "U", "O", "O", "O", "O", "O", "O", "O", "O"],
  "frac_coords": [[0.057, 0.185, 0.000], [0.443, 0.685, 0.000], [0.557, 0.315, 0.000], [0.943, 0.815, 0.000], [0.000, 0.500, 0.500], [0.500, 0.000, 0.500], [0.147, 0.679, 0.500], [0.212, 0.446, 0.000], [0.288, 0.946, 0.000], [0.353, 0.179, 0.500], [0.647, 0.821, 0.500], [0.712, 0.054, 0.000], [0.788, 0.554, 0.000], [0.853, 0.321, 0.500]]
}



{
  "formula": "Tm6GaNi2",
  "functional": "meta-GGA r2SCAN",
  "state": "relaxed",
  "e_tot_ev_per_atom": -27.77,
  "total_magnetization_mub_per_cell": 0.00,
  "lattice_angstrom": [[-4.556, 4.695, 4.845], [4.556, -4.695, 4.845], [4.556, 4.695, -4.845]],
  "species": ["Tm", "Tm", "Tm", "Tm", "Tm", "Tm", "Tm", "Tm", "Tm", "Tm", "Tm", "Tm", "Ga", "Ga", "Ni", "Ni", "Ni", "Ni"],
  "frac_coords": [[0.038, 0.235, 0.802], [0.180, 0.284, 0.464], [0.180, 0.716, 0.896], [0.327, 0.022, 0.695], [0.327, 0.633, 0.305], [0.433, 0.235, 0.198], [0.567, 0.765, 0.802], [0.673, 0.367, 0.695], [0.673, 0.978, 0.305], [0.820, 0.284, 0.104], [0.820, 0.716, 0.536], [0.962, 0.765, 0.198], [0.000, 0.000, 0.000], [0.500, 0.500, 0.000], [0.122, 0.622, 0.500], [0.349, 0.000, 0.349], [0.651, 0.000, 0.651], [0.878, 0.378, 0.500]]
}